Crystalline Li7Mn2Co3O12 at its relaxed geometry. Source: the Materials Project, functional PBE with a Hubbard U.

Properties
- energy relative to the elements (eV per atom) = -1.83
- MP2020-corrected energy (eV/cell) = -156.28
- volume (Å³ per cell) = 220.7
- M_tot (μB/atom) = 0.750

Cell lengths 3.0346, 5.0658, 14.4097 Å; angles 86.93, 86.44, 88.38 degrees
With the nearest neighbours (Å) after each atom.
Space group P-1 (No. 2)
One atom of each set of equivalent atoms:
Li 0.0000 0.0000 0.0000 x1  6 O 2.11-2.17
Li 0.0000 0.0000 0.5000 x1  6 O 2.03-2.22
Li 0.0070 0.6704 0.3338 x2  6 O 2.03-2.22
Li 0.4969 0.1650 0.8323 x2  6 O 2.10-2.30
Li 0.5000 0.5000 0.5000 x1  6 O 2.20-2.22
Mn 0.0042 0.6701 0.8312 x2  4 O 1.93-1.98
Co 0.4904 0.8378 0.6579 x2  2 O 1.73-1.89
Co 0.5000 0.5000 0.0000 x1  6 O 1.93-2.13
O 0.0127 0.3563 0.9165 x2  1 Mn 1.96, 2 Co 2.05-2.13, 2 Li 2.10-2.11
O 0.0240 0.9820 0.7479 x2  1 Mn 1.93, 1 Co 2.01, 1 Li 2.07
O 0.0323 0.3236 0.4107 x2  1 Co 1.89, 2 Li 2.03
O 0.4615 0.1856 0.0815 x2  1 Co 1.93, 1 Mn 1.98, 2 Li 2.12-2.15
O 0.4753 0.5327 0.7455 x2  1 Co 1.94, 1 Mn 1.97, 1 Li 2.15
O 0.4994 0.8661 0.4075 x2  1 Co 1.73

Crystalline Li7Mn4CoO12 at its relaxed geometry. Source: the Materials Project, functional PBE with a Hubbard U.

Properties
- energy relative to the elements (eV per atom) = -1.93
- MP2020-corrected energy (eV/cell) = -325.65
- volume (Å³ per cell) = 457.9
- M_tot (μB/atom) = 0.877

Cell lengths 5.3732, 2.8659, 29.7956 Å; angles 90.00, 93.59, 90.00 degrees
With the nearest neighbours (Å) after each atom.
Space group C2/m (No. 12)
One atom of each set of equivalent atoms:
Li 0.0000 0.0000 0.0000 x2  6 O 2.10-2.26
Li 0.0019 0.0000 0.2523 x4  6 O 2.14-2.25
Li 0.1443 0.5000 0.9214 x4  3 O 2.00-2.05
Li 0.1637 0.5000 0.4188 x4  6 O 2.08-2.29
Mn 0.1692 0.5000 0.6651 x4  4 O 1.96-1.97
Mn 0.1714 0.5000 0.1684 x4  5 O 1.95-2.17
Co 0.0000 0.0000 0.5000 x2  6 O 2.02-2.14
O 0.0118 0.0000 0.1331 x4  3 Mn 1.95-2.17
O 0.0239 0.0000 0.6270 x4  2 Mn 1.96, 2 Li 2.18
O 0.1707 0.5000 0.0434 x4  5 Li 2.00-2.10
O 0.1736 0.5000 0.5378 x4  3 Co 2.02-2.14, 2 Li 2.08
O 0.1793 0.5000 0.7933 x4  2 Mn 1.97, 2 Li 2.16
O 0.1892 0.5000 0.2960 x4  2 Mn 1.97, 3 Li 2.14-2.19

Crystalline Li7Mn2Co3O12 at its relaxed geometry. Source: the Materials Project, functional PBE with a Hubbard U.

Properties
- energy relative to the elements (eV per atom) = -1.74
- MP2020-corrected energy (eV/cell) = -308.51
- volume (Å³ per cell) = 452.7
- M_tot (μB/atom) = 0.888

Cell lengths 5.2243, 2.9094, 29.7953 Å; angles 90.00, 91.37, 90.00 degrees
With the nearest neighbours (Å) after each atom.
Space group Cm (No. 8)
One atom of each set of equivalent atoms:
Li 0.0000 0.0000 0.0000 x2  6 O 2.12-2.21
Li 0.0001 0.0000 0.2548 x2  6 O 2.06-2.25
Li 0.1585 0.5000 0.9163 x2  5 O 2.09-2.17
Li 0.1723 0.5000 0.4149 x2  6 O 2.11-2.24
Li 0.3345 0.0000 0.5863 x2  6 O 2.12-2.25
Li 0.3483 0.0000 0.0780 x2  3 O 2.00
Li 0.4989 0.5000 0.7512 x2  6 O 2.10-2.26
Mn 0.0022 0.0000 0.5005 x2  4 O 1.98
Mn 0.1709 0.5000 0.1688 x2  6 O 1.95-2.18
Co 0.1676 0.5000 0.6679 x2  6 O 2.00-2.10
Co 0.3344 0.0000 0.8320 x2  6 O 1.99-2.06
Co 0.3356 0.0000 0.3337 x2  6 O 2.04-2.09
O 0.0004 0.0000 0.6300 x2  3 Co 2.03-2.10, 3 Li 2.12-2.20
O 0.0092 0.0000 0.3715 x2  3 Co 2.04-2.07, 3 Li 2.11-2.21
O 0.0169 0.0000 0.8677 x2  3 Co 1.99-2.03, 2 Li 2.17
O 0.0181 0.0000 0.1335 x2  3 Mn 1.95-2.12
O 0.1423 0.5000 0.5387 x2  2 Mn 1.98, 1 Li 2.17
O 0.1597 0.5000 0.7942 x2  3 Co 2.04-2.06, 3 Li 2.10-2.21
O 0.1657 0.5000 0.2952 x2  3 Co 2.04-2.09, 3 Li 2.06-2.14
O 0.1709 0.5000 0.0432 x2  6 Li 2.00-2.17
O 0.3177 0.0000 0.2061 x2  3 Mn 1.97-2.18
O 0.3337 0.0000 0.7044 x2  3 Co 2.00-2.08, 2 Li 2.18
O 0.3365 0.0000 0.9563 x2  6 Li 2.09-2.21
O 0.3620 0.0000 0.4622 x2  2 Mn 1.98, 1 Li 2.17

Crystalline Li5Mn2CoO8 at its relaxed geometry. Source: the Materials Project, functional PBE with a Hubbard U.

Properties
- energy relative to the elements (eV per atom) = -2.02
- MP2020-corrected energy (eV/cell) = -213.72
- volume (Å³ per cell) = 280.1
- M_tot (μB/atom) = 0.375

Cell lengths 5.1122, 7.6409, 7.7150 Å; angles 96.68, 103.40, 103.71 degrees
With the nearest neighbours (Å) after each atom.
Space group P1 (No. 1)
One atom of each set of equivalent atoms:
Li 0.0000 0.0000 0.0000 x1  6 O 2.11-2.33
Li 0.0009 0.1235 0.3683 x1  6 O 2.04-2.19
Li 0.0018 0.6243 0.8689 x1  6 O 2.05-2.19
Li 0.0041 0.8733 0.6194 x1  6 O 2.05-2.12
Li 0.0052 0.2477 0.7373 x1  6 O 2.10-2.34
Li 0.0065 0.7496 0.2336 x1  6 O 2.10-2.31
Li 0.5021 0.3748 0.6207 x1  6 O 2.02-2.18
Li 0.5016 0.8739 0.1177 x1  6 O 2.02-2.17
Li 0.9970 0.4997 0.5052 x1  6 O 2.09-2.32
Li 0.9989 0.3751 0.1181 x1  6 O 2.05-2.13
Mn 0.4938 0.5010 0.9930 x1  6 O 1.91-1.98
Mn 0.4989 0.2480 0.2452 x1  6 O 1.93-1.98
Mn 0.5044 0.0008 0.4940 x1  6 O 1.92-1.98
Mn 0.5100 0.7481 0.7443 x1  6 O 1.91-1.98
Co 0.5013 0.6239 0.3687 x1  6 O 1.94-2.07
Co 0.5026 0.1244 0.8697 x1  4 O 1.89-1.94
O 0.2647 0.2611 0.0097 x1  2 Mn 1.96, 3 Li 2.05-2.19, 1 Co 2.16
O 0.2684 0.0136 0.2609 x1  2 Mn 1.93-1.95, 3 Li 2.04-2.13
O 0.2700 0.5146 0.7585 x1  2 Mn 1.93-1.94, 4 Li 2.06-2.15
O 0.2748 0.6169 0.1131 x1  1 Mn 1.91, 3 Li 2.02-2.08, 1 Co 2.03
O 0.2758 0.7560 0.5034 x1  2 Mn 1.98, 1 Co 2.07, 3 Li 2.12-2.20
O 0.2826 0.3772 0.3627 x1  1 Co 1.94, 1 Mn 1.95, 3 Li 2.05-2.14
O 0.2903 0.1144 0.6227 x1  1 Mn 1.92, 1 Co 1.94, 2 Li 2.03-2.06
O 0.2954 0.8817 0.8600 x1  1 Co 1.89, 1 Mn 1.95, 2 Li 2.04-2.08
O 0.7086 0.3669 0.8778 x1  1 Co 1.89, 1 Mn 1.95, 2 Li 2.03-2.07
O 0.7129 0.1339 0.1157 x1  1 Mn 1.93, 1 Co 1.94, 2 Li 2.03-2.06
O 0.7202 0.8713 0.3753 x1  1 Co 1.94, 1 Mn 1.95, 3 Li 2.05-2.13
O 0.7268 0.4924 0.2339 x1  2 Mn 1.98, 1 Co 2.07, 3 Li 2.13-2.21
O 0.7288 0.6316 0.6244 x1  1 Mn 1.91, 3 Li 2.02-2.09, 1 Co 2.03
O 0.7339 0.7343 0.9788 x1  2 Mn 1.93-1.94, 4 Li 2.05-2.15
O 0.7351 0.2344 0.4774 x1  2 Mn 1.93-1.94, 3 Li 2.05-2.13
O 0.7406 0.9882 0.7289 x1  2 Mn 1.96, 3 Li 2.05-2.18, 1 Co 2.17

Crystalline Li7Mn4CoO12 at its relaxed geometry. Source: the Materials Project, functional PBE with a Hubbard U.

Properties
- energy relative to the elements (eV per atom) = -1.99
- MP2020-corrected energy (eV/cell) = -164.32
- volume (Å³ per cell) = 222.4
- M_tot (μB/atom) = 0.750

Cell lengths 3.0366, 5.0663, 14.6380 Å; angles 82.23, 86.50, 86.69 degrees
With the nearest neighbours (Å) after each atom.
Space group P-1 (No. 2)
One atom of each set of equivalent atoms:
Li 0.0000 0.0000 0.0000 x1  6 O 2.02-2.25
Li 0.0574 0.4087 0.8449 x2  4 O 1.97-2.16
Li 0.2513 0.2512 0.4998 x2  6 O 2.13-2.21
Li 0.4270 0.0801 0.1541 x2  6 O 2.07-2.31
Mn 0.1630 0.8337 0.6697 x2  4 O 1.95-1.97
Mn 0.3374 0.6666 0.3301 x2  4 O 1.95-1.97
Co 0.5000 0.5000 0.0000 x1  4 O 1.79-1.98
O 0.0161 0.6850 0.9282 x2  3 Li 1.97-2.07, 2 Co 1.98-2.04
O 0.0973 0.1214 0.7479 x2  2 Mn 1.97, 1 Li 2.16
O 0.2361 0.5474 0.5906 x2  2 Mn 1.97, 3 Li 2.13-2.19
O 0.2664 0.9521 0.4091 x2  2 Mn 1.97, 2 Li 2.14-2.16
O 0.3975 0.3742 0.2553 x2  2 Mn 1.95
O 0.4573 0.7557 0.0741 x2  1 Co 1.79

Crystalline Li7Mn2Co3O12 at its relaxed geometry. Source: the Materials Project, functional PBE with a Hubbard U.

Properties
- energy relative to the elements (eV per atom) = -1.86
- MP2020-corrected energy (eV/cell) = -313.89
- volume (Å³ per cell) = 432.4
- M_tot (μB/atom) = 0.333

Cell lengths 15.3680, 2.9012, 10.3134 Å; angles 90.00, 109.91, 90.00 degrees
With the nearest neighbours (Å) after each atom.
Space group Cm (No. 8)
One atom of each set of equivalent atoms:
Li 0.0000 0.0000 0.0000 x2  5 O 2.01-2.22
Li 0.0006 0.0000 0.5066 x2  3 O 2.00-2.15
Li 0.1714 0.5000 0.1761 x2  6 O 2.05-2.18
Li 0.1735 0.5000 0.6670 x2  6 O 2.02-2.23
Li 0.3346 0.5000 0.5897 x2  6 O 2.06-2.15
Li 0.3378 0.0000 0.8221 x2  6 O 2.07-2.29
Li 0.3424 0.0000 0.3541 x2  5 O 2.03-2.18
Mn 0.1684 0.0000 0.9198 x2  6 O 1.90-1.99
Mn 0.1760 0.0000 0.4294 x2  5 O 1.83-1.98
Co 0.0051 0.5000 0.2555 x2  6 O 2.02-2.07
Co 0.3399 0.5000 0.0913 x2  6 O 1.99-2.13
Co 0.4902 0.0000 0.7353 x2  3 O 1.79-1.97
O 0.0868 0.0000 0.7339 x2  1 Mn 1.90, 2 Co 2.08
O 0.0883 0.0000 0.2262 x2  2 Co 2.02, 1 Mn 2.07, 3 Li 2.11-2.26
O 0.0959 0.5000 0.4560 x2  2 Mn 1.98, 1 Co 2.06, 1 Li 2.10
O 0.0984 0.5000 0.9620 x2  2 Mn 1.94, 1 Li 2.11
O 0.2441 0.5000 0.8852 x2  2 Mn 1.97, 1 Co 2.13, 1 Li 2.14
O 0.2448 0.5000 0.3839 x2  2 Mn 1.94, 2 Li 2.05-2.10
O 0.2461 0.0000 0.6132 x2  1 Mn 1.83, 2 Li 2.02
O 0.2554 0.0000 0.1138 x2  1 Mn 1.99, 2 Co 2.01, 2 Li 2.18
O 0.4161 0.0000 0.0528 x2  3 Co 1.99-2.07, 2 Li 2.13
O 0.4221 0.5000 0.2901 x2  3 Co 2.01-2.04, 3 Li 2.14-2.15
O 0.4265 0.5000 0.7968 x2  2 Co 1.97, 4 Li 2.01-2.12
O 0.4275 0.0000 0.5543 x2  1 Co 1.79, 2 Li 2.00

Crystalline Li7Mn2Co3O12 at its relaxed geometry. Source: the Materials Project, functional PBE with a Hubbard U.

Properties
- energy relative to the elements (eV per atom) = -1.89
- MP2020-corrected energy (eV/cell) = -157.79
- volume (Å³ per cell) = 215.1
- M_tot (μB/atom) = 0.333

Cell lengths 5.1150, 5.8868, 7.6955 Å; angles 101.60, 108.09, 90.61 degrees
With the nearest neighbours (Å) after each atom.
Space group P-1 (No. 2)
One atom of each set of equivalent atoms:
Li 0.0000 0.0000 0.0000 x1  6 O 2.06-2.15
Li 0.4839 0.0870 0.3231 x2  5 O 2.02-2.24
Li 0.4939 0.5791 0.3315 x2  6 O 2.06-2.16
Li 0.4973 0.2359 0.0041 x2  6 O 2.10-2.32
Mn 0.0031 0.6694 0.6702 x2  6 O 1.90-1.97
Co 0.0000 0.5000 0.0000 x1  6 O 1.98-2.06
Co 0.0027 0.1649 0.6756 x2  5 O 1.89-2.07
O 0.2181 0.1377 0.4902 x2  1 Mn 1.95, 2 Co 2.04-2.06, 2 Li 2.13-2.15
O 0.2188 0.6132 0.4949 x2  2 Mn 1.97, 1 Co 2.12, 2 Li 2.15-2.16
O 0.2236 0.2979 0.1736 x2  1 Mn 1.90, 1 Co 2.06, 3 Li 2.06-2.07
O 0.2286 0.7776 0.1725 x2  2 Co 1.89-1.98, 1 Li 2.07
O 0.2318 0.4736 0.8244 x2  1 Mn 1.95, 2 Co 2.04-2.07, 2 Li 2.10-2.12
O 0.2374 0.9472 0.8153 x2  1 Mn 1.94, 1 Co 2.01, 4 Li 2.02-2.13

Crystalline Li4MnCo2O7 at its relaxed geometry. Source: the Materials Project, functional PBE with a Hubbard U.

Properties
- energy relative to the elements (eV per atom) = -1.84
- MP2020-corrected energy (eV/cell) = -182.85
- volume (Å³ per cell) = 253.2
- M_tot (μB/atom) = 0.786

Cell lengths 5.0370, 6.6418, 7.8355 Å; angles 85.69, 77.05, 82.85 degrees
With the nearest neighbours (Å) after each atom.
Space group P-1 (No. 2)
One atom of each set of equivalent atoms:
Li 0.0000 0.0000 0.0000 x1  6 O 2.09-2.14
Li 0.0650 0.8656 0.3444 x2  5 O 2.07-2.24
Li 0.2175 0.5811 0.0699 x2  6 O 2.09-2.22
Li 0.3525 0.2767 0.7975 x2  5 O 2.02-2.23
Li 0.5000 0.0000 0.5000 x1  6 O 2.04-2.22
Mn 0.2862 0.4285 0.4278 x2  6 O 1.92-1.97
Co 0.1292 0.7203 0.7296 x2  4 O 1.84-2.06
Co 0.4408 0.1326 0.1396 x2  5 O 1.92-2.15
O 0.0307 0.4386 0.6578 x2  2 Mn 1.95-1.97, 1 Li 2.14, 1 Co 2.14
O 0.1076 0.2870 0.0542 x2  1 Co 1.84
O 0.1759 0.1679 0.3951 x2  1 Mn 1.93, 2 Co 2.04-2.15, 2 Li 2.14
O 0.2680 0.9823 0.7488 x2  2 Co 1.92-1.98, 4 Li 2.04-2.13
O 0.3337 0.8650 0.1019 x2  2 Co 1.98, 4 Li 2.02-2.09
O 0.4012 0.6881 0.4761 x2  2 Mn 1.95-1.97, 1 Co 2.15
O 0.4760 0.5738 0.8006 x2  1 Mn 1.92, 1 Co 2.06, 1 Li 2.15

- Among the records above, which one has the lowest MP2020-corrected energy?
  number 2